Entry 1:
Density functional theory data (r2SCAN) for a geometry-optimized Ca5Si2N6 structure.

Its crystal system is monoclinic. The density is 3.049 g cm⁻³. Its total energy is -500.994 eV per cell.

It has space group C2/c (No. 15), with a = 9.810 Å, b = 6.040 Å, c = 12.726 Å, α = 90.00°, β = 100.26° and γ = 90.00°. Symmetry generates all atoms from Ca at (0.000, 0.119, 0.250), Ca at (0.065, 0.240, 0.999), Ca at (0.153, 0.414, 0.716), Si at (0.223, 0.370, 0.424), N at (0.059, 0.456, 0.373), N at (0.151, 0.042, 0.648) and N at (0.224, 0.069, 0.438).

***

Entry 2:
Density functional theory data (r2SCAN) for a geometry-optimized CaTcN3 structure.

Its crystal system is monoclinic. The density is 4.348 g cm⁻³. Its total energy is -253.023 eV per cell.

It has space group C2/m (No. 12), with a = 12.203 Å, b = 3.639 Å, c = 6.438 Å, α = 90.00°, β = 105.74° and γ = 90.00°. Symmetry generates all atoms from Ca at (0.120, 0.000, 0.328), Tc at (0.155, 0.500, 0.850), N at (0.002, 0.500, 0.901), N at (0.156, 0.500, 0.581) and N at (0.180, 0.000, 0.991).

***

Entry 3:
Density functional theory data (r2SCAN) for a geometry-optimized Ca7TlN4 structure.

Its crystal system is orthorhombic. The density is 3.551 g cm⁻³. Its total energy is -299.536 eV per cell.

It has space group P2_12_12 (No. 18), with a = 11.635 Å, b = 11.997 Å, c = 3.624 Å, α = 90.00°, β = 90.00° and γ = 90.00°. Symmetry generates all atoms from Ca at (0.000, 0.000, 0.001), Ca at (0.025, 0.766, 0.501), Ca at (0.232, 0.174, 0.000), Ca at (0.234, 0.932, 0.501), Tl at (0.000, 0.500, 0.994), N at (0.128, 0.104, 0.501) and N at (0.144, 0.834, 0.001).

***

Formation energy from the elements? In order: -1.36; -0.57; -0.90 eV/atom.